(1)
Compound: ZnN
Source: the Materials Project
Functional: GGA-PBE
Structure: optimized geometry

Properties
Energy relative to the elements: 84 kJ/mol of formula units
V: 24 Å³ per cell
Crystal system: cubic
E above lowest polymorph: 0.00 eV/f.u.

Cell lengths 3.247, 3.247, 3.247 Å; angles 60.00, 60.00, 60.00 degrees
Positions (direct):
Zn: 0.000 0.000 0.000
N: 0.750 0.750 0.750

=====

(2)
Compound: Na6Sc2Nb6Si9S3O48
Source: the Materials Project
Functional: GGA-PBE
Structure: optimized geometry

Properties
Energy relative to the elements: -20579 kJ/mol of formula units
V: 3204 Å³ per cell
Total magnetic moment: 0.000 μB per atom
Crystal system: triclinic

Cell lengths 8.990, 15.510, 22.981 Å; angles 90.20, 90.05, 90.03 degrees
Positions (direct):
Na: 0.000 0.000 0.000
Na: 0.000 0.002 0.502
Na: 0.000 0.673 0.331
Na: 0.005 0.332 0.167
Na: 0.011 0.666 0.839
Na: 0.191 0.819 0.750
Na: 0.197 0.183 0.755
Na: 0.314 0.684 0.254
Na: 0.323 0.318 0.248
Na: 0.499 0.166 0.336
Na: 0.504 0.833 0.668
Na: 0.510 0.502 0.003
Na: 0.512 0.843 0.166
Na: 0.513 0.174 0.835
Na: 0.513 0.500 0.498
Na: 0.633 0.011 0.753
Na: 0.876 0.510 0.251
Na: 0.997 0.338 0.670
Sc: 0.006 0.006 0.860
Sc: 0.009 0.672 0.686
Sc: 0.500 0.168 0.184
Sc: 0.505 0.506 0.359
Sc: 0.519 0.175 0.691
Sc: 0.992 0.675 0.190
Nb: 0.001 0.340 0.817
Nb: 0.011 0.007 0.647
Nb: 0.017 0.335 0.319
Nb: 0.021 0.002 0.360
Nb: 0.021 0.006 0.143
Nb: 0.490 0.502 0.862
Nb: 0.494 0.835 0.821
Nb: 0.498 0.507 0.147
Nb: 0.501 0.504 0.648
Nb: 0.509 0.844 0.528
Nb: 0.511 0.843 0.314
Nb: 0.513 0.843 0.020
Nb: 0.517 0.170 0.986
Nb: 0.520 0.174 0.479
Nb: 0.986 0.676 0.481
Nb: 0.989 0.674 0.980
Nb: 0.994 0.337 0.518
Nb: 0.999 0.344 0.028
Si: 0.143 0.482 0.922
Si: 0.148 0.861 0.253
Si: 0.151 0.815 0.587
Si: 0.152 0.147 0.253
Si: 0.211 0.838 0.924
Si: 0.215 0.504 0.254
Si: 0.297 0.004 0.754
Si: 0.299 0.339 0.424
Si: 0.359 0.361 0.754
Si: 0.359 0.648 0.754
Si: 0.360 0.315 0.087
Si: 0.367 0.025 0.085
Si: 0.367 0.982 0.422
Si: 0.644 0.693 0.920
Si: 0.649 0.649 0.255
Si: 0.652 0.031 0.589
Si: 0.652 0.986 0.918
Si: 0.653 0.316 0.587
Si: 0.713 0.671 0.589
Si: 0.715 0.336 0.920
Si: 0.789 0.840 0.419
Si: 0.796 0.171 0.090
Si: 0.858 0.816 0.087
Si: 0.859 0.485 0.418
Si: 0.859 0.531 0.089
Si: 0.861 0.149 0.755
Si: 0.863 0.191 0.417
S: 0.150 0.196 0.921
S: 0.150 0.525 0.586
S: 0.215 0.173 0.586
S: 0.294 0.672 0.086
S: 0.360 0.695 0.421
S: 0.651 0.359 0.253
S: 0.721 0.006 0.254
S: 0.791 0.505 0.754
S: 0.860 0.859 0.753
O: 0.072 0.245 0.262
O: 0.073 0.578 0.928
O: 0.074 0.102 0.196
O: 0.074 0.912 0.593
O: 0.075 0.434 0.863
O: 0.075 0.764 0.531
O: 0.076 0.909 0.310
O: 0.082 0.110 0.915
O: 0.085 0.238 0.971
O: 0.086 0.436 0.580
O: 0.087 0.562 0.639
O: 0.092 0.763 0.249
O: 0.106 0.087 0.310
O: 0.109 0.415 0.259
O: 0.111 0.587 0.247
O: 0.111 0.922 0.916
O: 0.115 0.249 0.580
O: 0.116 0.419 0.977
O: 0.116 0.748 0.929
O: 0.116 0.923 0.197
O: 0.117 0.093 0.591
O: 0.120 0.248 0.865
O: 0.123 0.578 0.534
O: 0.129 0.762 0.647
O: 0.176 0.353 0.762
O: 0.181 0.327 0.075
O: 0.181 0.663 0.750
O: 0.182 0.348 0.478
O: 0.183 0.016 0.090
O: 0.184 0.986 0.696
O: 0.185 0.991 0.414
O: 0.188 0.017 0.808
O: 0.192 0.322 0.364
O: 0.195 0.686 0.427
O: 0.202 0.657 0.035
O: 0.211 0.683 0.141
O: 0.299 0.184 0.641
O: 0.308 0.159 0.535
O: 0.314 0.189 0.924
O: 0.316 0.516 0.591
O: 0.317 0.821 0.863
O: 0.322 0.517 0.309
O: 0.325 0.491 0.914
O: 0.326 0.485 0.197
O: 0.328 0.847 0.977
O: 0.329 0.165 0.253
O: 0.329 0.826 0.576
O: 0.332 0.852 0.264
O: 0.379 0.264 0.148
O: 0.385 0.747 0.366
O: 0.392 0.591 0.091
O: 0.393 0.249 0.431
O: 0.394 0.920 0.477
O: 0.395 0.087 0.028
O: 0.395 0.747 0.080
O: 0.396 0.423 0.697
O: 0.399 0.088 0.746
O: 0.399 0.423 0.417
O: 0.402 0.915 0.758
O: 0.403 0.587 0.810
O: 0.419 0.264 0.748
O: 0.425 0.737 0.472
O: 0.427 0.609 0.416
O: 0.430 0.926 0.077
O: 0.435 0.410 0.810
O: 0.435 0.601 0.696
O: 0.436 0.077 0.429
O: 0.436 0.413 0.094
O: 0.437 0.063 0.144
O: 0.437 0.745 0.760
O: 0.437 0.934 0.364
O: 0.438 0.268 0.030
O: 0.562 0.743 0.261
O: 0.564 0.078 0.926
O: 0.567 0.601 0.197
O: 0.573 0.738 0.977
O: 0.576 0.936 0.860
O: 0.577 0.064 0.648
O: 0.577 0.270 0.529
O: 0.577 0.413 0.595
O: 0.577 0.597 0.910
O: 0.583 0.933 0.577
O: 0.584 0.273 0.247
O: 0.584 0.398 0.305
O: 0.606 0.753 0.575
O: 0.608 0.252 0.926
O: 0.608 0.584 0.595
O: 0.613 0.923 0.974
O: 0.615 0.089 0.531
O: 0.615 0.423 0.910
O: 0.617 0.754 0.862
O: 0.621 0.081 0.251
O: 0.621 0.588 0.310
O: 0.621 0.925 0.260
O: 0.625 0.414 0.200
O: 0.629 0.259 0.643
O: 0.676 0.517 0.095
O: 0.678 0.826 0.077
O: 0.682 0.185 0.425
O: 0.683 0.494 0.417
O: 0.683 0.849 0.476
O: 0.684 0.158 0.749
O: 0.684 0.823 0.362
O: 0.690 0.155 0.030
O: 0.695 0.853 0.757
O: 0.696 0.191 0.145
O: 0.700 0.490 0.700
O: 0.701 0.516 0.806
O: 0.807 0.990 0.202
O: 0.811 0.014 0.308
O: 0.817 0.354 0.258
O: 0.817 0.685 0.644
O: 0.822 0.656 0.530
O: 0.826 0.324 0.862
O: 0.826 0.658 0.249
O: 0.827 0.349 0.975
O: 0.827 0.685 0.925
O: 0.828 0.993 0.915
O: 0.834 0.017 0.595
O: 0.835 0.330 0.577
O: 0.883 0.758 0.143
O: 0.887 0.424 0.759
O: 0.887 0.914 0.700
O: 0.890 0.087 0.809
O: 0.890 0.580 0.747
O: 0.892 0.255 0.362
O: 0.895 0.589 0.031
O: 0.896 0.923 0.411
O: 0.897 0.754 0.427
O: 0.899 0.084 0.095
O: 0.900 0.422 0.475
O: 0.906 0.253 0.075
O: 0.927 0.433 0.078
O: 0.927 0.897 0.805
O: 0.928 0.773 0.746
O: 0.932 0.912 0.095
O: 0.934 0.096 0.412
O: 0.934 0.238 0.476
O: 0.934 0.563 0.148
O: 0.935 0.437 0.361
O: 0.935 0.769 0.029
O: 0.943 0.101 0.697
O: 0.948 0.244 0.760
O: 0.949 0.576 0.430